1.
Below is crystalline NaTaSiGeP2O12 at its relaxed geometry, with properties calculated at the GGA-PBE level.

Summary:
* E_tot: -135.637 eV per formula unit
* E_form: -2803 meV per atom

a b c (Å): 8.6245 8.6245 22.2500
angles (deg): 90.44 90.44 60.06
Fractional positions:
1 Na 0.0020 0.9980 0.5000
2 Na 0.3276 0.3345 0.1667
3 Na 0.3345 0.3276 0.6667
4 Na 0.6613 0.6682 0.8336
5 Na 0.6682 0.6613 0.3336
6 Na 0.9980 0.0020 0.0000
7 Ta 0.3238 0.3330 0.3138
8 Ta 0.3330 0.3238 0.8138
9 Ta 0.6614 0.6650 0.4806
10 Ta 0.6650 0.6614 0.9806
11 Ta 0.9951 0.9994 0.6471
12 Ta 0.9994 0.9951 0.1471
13 Si 0.0493 0.3157 0.4219
14 Si 0.3157 0.0493 0.9219
15 Si 0.3841 0.9573 0.5892
16 Si 0.7213 0.9831 0.7562
17 Si 0.9573 0.3841 0.0892
18 Si 0.9831 0.7213 0.2562
19 Ge 0.3224 0.3286 0.0251
20 Ge 0.3286 0.3224 0.5251
21 Ge 0.6611 0.6730 0.6921
22 Ge 0.6730 0.6611 0.1921
23 Ge 0.9956 0.9980 0.3584
24 Ge 0.9980 0.9956 0.8584
25 P 0.0522 0.6209 0.9225
26 P 0.2876 0.7171 0.7555
27 P 0.2909 0.9814 0.2552
28 P 0.3186 0.6173 0.4234
29 P 0.3885 0.6507 0.0889
30 P 0.6173 0.3186 0.9234
31 P 0.6209 0.0522 0.4225
32 P 0.6507 0.3885 0.5889
33 P 0.6511 0.9555 0.0893
34 P 0.7171 0.2876 0.2555
35 P 0.9555 0.6511 0.5893
36 P 0.9814 0.2909 0.7552
37 O 0.0206 0.8059 0.1968
38 O 0.0231 0.1718 0.6987
39 O 0.0287 0.8084 0.9160
40 O 0.0306 0.1391 0.4123
41 O 0.1336 0.5059 0.8659
42 O 0.1370 0.3524 0.3625
43 O 0.1391 0.0306 0.9123
44 O 0.1447 0.4912 0.5814
45 O 0.1485 0.3157 0.7611
46 O 0.1521 0.3678 0.0820
47 O 0.1537 0.8028 0.4159
48 O 0.1647 0.5216 0.2609
49 O 0.1656 0.5385 0.9795
50 O 0.1705 0.2862 0.4814
51 O 0.1718 0.0231 0.1987
52 O 0.1718 0.8028 0.6988
53 O 0.1845 0.9779 0.5944
54 O 0.1984 0.8199 0.0945
55 O 0.2064 0.8324 0.8123
56 O 0.2057 0.9563 0.3120
57 O 0.2862 0.1705 0.9814
58 O 0.2948 0.5298 0.4797
59 O 0.2992 0.5320 0.7613
60 O 0.3157 0.1485 0.2611
61 O 0.3524 0.1370 0.8625
62 O 0.3554 0.5011 0.3661
63 O 0.3678 0.1521 0.5820
64 O 0.3718 0.4832 0.0802
65 O 0.4668 0.6893 0.0324
66 O 0.4698 0.8338 0.5294
67 O 0.4734 0.8136 0.2462
68 O 0.4765 0.6892 0.7479
69 O 0.4832 0.3718 0.5802
70 O 0.4896 0.6356 0.4282
71 O 0.4912 0.1447 0.0814
72 O 0.4949 0.8510 0.9274
73 O 0.4993 0.6267 0.1460
74 O 0.5011 0.3554 0.8661
75 O 0.5044 0.8650 0.6487
76 O 0.5059 0.1336 0.3659
77 O 0.5216 0.1647 0.7609
78 O 0.5298 0.2948 0.9797
79 O 0.5320 0.2992 0.2613
80 O 0.5385 0.1656 0.4795
81 O 0.6188 0.8740 0.1458
82 O 0.6267 0.4993 0.6460
83 O 0.6356 0.4896 0.9282
84 O 0.6380 0.8635 0.4281
85 O 0.6834 0.8393 0.0325
86 O 0.6893 0.4668 0.5324
87 O 0.6892 0.4765 0.2479
88 O 0.7014 0.8064 0.7493
89 O 0.8028 0.1537 0.9159
90 O 0.8028 0.1718 0.1988
91 O 0.8059 0.0206 0.6968
92 O 0.8064 0.7014 0.2493
93 O 0.8084 0.0287 0.4160
94 O 0.8136 0.4734 0.7462
95 O 0.8199 0.1984 0.5945
96 O 0.8245 0.9692 0.0946
97 O 0.8324 0.2064 0.3123
98 O 0.8338 0.4698 0.0294
99 O 0.8393 0.6834 0.5325
100 O 0.8407 0.9575 0.8160
101 O 0.8510 0.4949 0.4274
102 O 0.8635 0.6380 0.9281
103 O 0.8650 0.5044 0.1487
104 O 0.8740 0.6188 0.6458
105 O 0.9563 0.2057 0.8120
106 O 0.9575 0.8407 0.3160
107 O 0.9692 0.8245 0.5946
108 O 0.9779 0.1845 0.0944

=====

2.
Below is crystalline Sr2TiSnO6 at its relaxed geometry, with properties calculated at the GGA-PBE level.

Summary:
* E_tot: -71.576 eV per formula unit
* E_form: -3073 meV per atom

a b c (Å): 5.6982 5.6982 5.6982
angles (deg): 60.00 60.00 60.00
Fractional positions:
1 Sr 0.2500 0.2500 0.2500
2 Sr 0.7500 0.7500 0.7500
3 Ti 0.0000 0.0000 0.0000
4 Sn 0.5000 0.5000 0.5000
5 O 0.2441 0.2441 0.7559
6 O 0.2441 0.7559 0.2441
7 O 0.2441 0.7559 0.7559
8 O 0.7559 0.2441 0.2441
9 O 0.7559 0.2441 0.7559
10 O 0.7559 0.7559 0.2441

=====

3.
Below is crystalline Na6P4Pb3S16 at its relaxed geometry, with properties calculated at the GGA-PBE level.

Summary:
* E_tot: -126.928 eV per formula unit
* E_form: -968 meV per atom

a b c (Å): 11.5342 11.5342 11.5342
angles (deg): 116.82 116.82 116.82
Fractional positions:
1 Na 0.0209 0.2153 0.7639
2 Na 0.0209 0.7639 0.2153
3 Na 0.2153 0.0209 0.7639
4 Na 0.2153 0.7639 0.0209
5 Na 0.7639 0.0209 0.2153
6 Na 0.7639 0.2153 0.0209
7 P 0.1266 0.6004 0.6004
8 P 0.6004 0.1266 0.6004
9 P 0.6004 0.6004 0.1266
10 P 0.7849 0.7849 0.7849
11 Pb 0.3775 0.3775 0.6434
12 Pb 0.3775 0.6434 0.3775
13 Pb 0.6434 0.3775 0.3775
14 S 0.0062 0.8332 0.8332
15 S 0.1726 0.4696 0.4696
16 S 0.3994 0.5703 0.9370
17 S 0.3994 0.9370 0.5703
18 S 0.4274 0.9354 0.9354
19 S 0.4555 0.4555 0.4555
20 S 0.4696 0.1726 0.4696
21 S 0.4696 0.4696 0.1726
22 S 0.5703 0.3994 0.9370
23 S 0.5703 0.9370 0.3994
24 S 0.8332 0.0062 0.8332
25 S 0.8332 0.8332 0.0062
26 S 0.9354 0.4274 0.9354
27 S 0.9354 0.9354 0.4274
28 S 0.9370 0.3994 0.5703
29 S 0.9370 0.5703 0.3994

=====

4.
Below is crystalline LiMg3 at its relaxed geometry, with properties calculated at the GGA-PBE level.

Summary:
* E_tot: -6.787 eV per formula unit
* E_form: -19 meV per atom

a b c (Å): 3.1683 3.1683 10.0619
angles (deg): 90.00 90.00 120.00
Fractional positions:
1 Li 0.0000 0.0000 0.0000
2 Mg 0.0000 0.0000 0.5000
3 Mg 0.3333 0.6667 0.2453
4 Mg 0.3333 0.6667 0.7547

=====

5.
Below is crystalline MgAlAg2 at its relaxed geometry, with properties calculated at the GGA-PBE level.

Summary:
* E_tot: -11.733 eV per formula unit
* E_form: -180 meV per atom

a b c (Å): 4.6181 4.6181 4.6181
angles (deg): 60.00 60.00 60.00
Fractional positions:
1 Mg 0.0000 0.0000 0.0000
2 Al 0.5000 0.5000 0.5000
3 Ag 0.2500 0.2500 0.2500
4 Ag 0.7500 0.7500 0.7500

=====

6.
Below is crystalline BaSrI4 at its relaxed geometry, with properties calculated at the GGA-PBE level.

Summary:
* E_tot: -20.089 eV per formula unit
* E_form: -1983 meV per atom

a b c (Å): 5.8071 5.8071 8.2510
angles (deg): 90.00 90.00 90.00
Fractional positions:
1 Ba 0.0000 0.0000 0.0000
2 Sr 0.5000 0.5000 0.5000
3 I 0.0000 0.5000 0.2579
4 I 0.0000 0.5000 0.7421
5 I 0.5000 0.0000 0.2579
6 I 0.5000 0.0000 0.7421